(1)
This record from the Materials Project describes a relaxed structure of Li2V5NiO12. The functional is PBE with a Hubbard U.

POSCAR file:
```
Li2V5NiO12
1.0
5.445 -4.305 0.000
5.445 4.305 0.000
-2.169 0.000 5.164
Li V Ni O
2 5 1 12
direct
0.000 0.000 0.000
0.542 0.458 0.500
0.081 0.346 0.509
0.357 0.643 0.000
0.437 0.110 0.953
0.654 0.919 0.491
0.890 0.563 0.047
0.184 0.816 0.500
0.087 0.734 0.103
0.226 0.116 0.561
0.251 0.528 0.604
0.266 0.913 0.897
0.367 0.395 0.061
0.472 0.749 0.396
0.583 0.110 0.328
0.605 0.633 0.939
0.688 0.028 0.826
0.884 0.774 0.439
0.890 0.417 0.672
0.972 0.312 0.174
```

Values from the calculation:
Space-group type: C2
Total magnetization: 6.97 μB per cell
Formation energy from the elements: -2301 meV per atom
Relative energy among the computed polymorphs: 0.00 eV per formula unit
Total energy after the MP2020 corrections: -0.295 hartree per atom
VASP energy: -7.057 eV per atom

---

(2)
This record from the Materials Project describes a relaxed structure of BaSr7V8Si16O56. The functional is PBE with a Hubbard U.

POSCAR file:
```
BaSr7V8Si16O56
1.0
7.932 0.000 0.000
0.000 14.242 0.000
-3.661 0.000 10.134
Ba Sr V Si O
1 7 8 16 56
direct
0.000 0.000 0.000
0.817 0.250 0.204
0.817 0.250 0.704
0.817 0.750 0.204
0.817 0.750 0.704
0.997 0.000 0.499
0.997 0.500 0.499
0.997 0.500 0.999
0.191 0.250 0.548
0.191 0.750 0.548
0.192 0.252 0.048
0.192 0.748 0.048
0.621 0.000 0.655
0.623 0.000 0.156
0.623 0.500 0.656
0.624 0.500 0.156
0.192 0.114 0.796
0.192 0.886 0.796
0.193 0.387 0.298
0.193 0.387 0.798
0.193 0.613 0.298
0.193 0.613 0.798
0.194 0.114 0.300
0.194 0.886 0.300
0.620 0.138 0.905
0.620 0.862 0.905
0.622 0.363 0.405
0.622 0.363 0.905
0.622 0.637 0.405
0.622 0.637 0.905
0.623 0.137 0.406
0.623 0.863 0.406
0.101 0.155 0.648
0.101 0.845 0.648
0.102 0.155 0.402
0.102 0.345 0.401
0.102 0.345 0.650
0.102 0.346 0.149
0.102 0.346 0.902
0.102 0.654 0.149
0.102 0.654 0.902
0.102 0.655 0.401
0.102 0.655 0.650
0.102 0.845 0.402
0.103 0.159 0.898
0.103 0.841 0.898
0.104 0.159 0.154
0.104 0.841 0.154
0.134 0.500 0.285
0.134 0.500 0.782
0.136 0.000 0.782
0.137 0.000 0.286
0.401 0.000 0.599
0.403 0.000 0.101
0.403 0.500 0.101
0.403 0.500 0.601
0.406 0.125 0.851
0.406 0.875 0.851
0.407 0.375 0.352
0.407 0.375 0.852
0.407 0.625 0.352
0.407 0.625 0.852
0.408 0.125 0.353
0.408 0.875 0.353
0.412 0.250 0.603
0.412 0.750 0.603
0.413 0.251 0.103
0.413 0.749 0.103
0.680 0.250 0.920
0.680 0.750 0.920
0.681 0.250 0.420
0.681 0.750 0.420
0.708 0.096 0.053
0.708 0.096 0.800
0.708 0.904 0.053
0.708 0.904 0.800
0.713 0.095 0.303
0.713 0.095 0.554
0.713 0.405 0.054
0.713 0.405 0.303
0.713 0.405 0.554
0.713 0.405 0.802
0.713 0.595 0.054
0.713 0.595 0.303
0.713 0.595 0.554
0.713 0.595 0.802
0.713 0.905 0.303
0.713 0.905 0.554
```

Values from the calculation:
Space-group type: Pm
Total magnetization: 0.06 μB per cell
Formation energy from the elements: -3132 meV per atom
Total energy after the MP2020 corrections: -0.303 hartree per atom
VASP energy: -7.658 eV per atom

---

(3)
This record from the Materials Project describes a relaxed structure of RbMgCr3O8. The functional is PBE with a Hubbard U.

POSCAR file:
```
RbMgCr3O8
1.0
4.496 -2.868 0.000
4.496 2.868 0.000
-0.416 0.000 7.088
Rb Mg Cr O
1 1 3 8
direct
0.000 0.000 0.000
0.657 0.657 0.726
0.350 0.350 0.687
0.623 0.623 0.269
0.991 0.991 0.492
0.216 0.216 0.511
0.257 0.721 0.681
0.274 0.753 0.305
0.290 0.290 0.900
0.682 0.682 0.043
0.721 0.257 0.681
0.753 0.274 0.305
0.762 0.762 0.472
```

Values from the calculation:
Space-group type: Cm
Total magnetization: 5.01 μB per cell
Formation energy from the elements: -1983 meV per atom
Relative energy among the computed polymorphs: 0.24 eV per formula unit
Total energy after the MP2020 corrections: -0.274 hartree per atom
VASP energy: -6.570 eV per atom

---

(4)
This record from the Materials Project describes a relaxed structure of Mn6O5F7. The functional is PBE with a Hubbard U.

POSCAR file:
```
Mn6O5F7
1.0
4.649 0.000 0.000
0.131 5.703 0.000
0.121 0.424 7.939
Mn O F
6 5 7
direct
0.000 0.000 0.000
0.004 0.648 0.300
0.496 0.152 0.308
0.500 0.823 0.640
0.526 0.462 0.951
0.979 0.316 0.617
0.192 0.933 0.211
0.315 0.116 0.537
0.691 0.178 0.083
0.696 0.531 0.723
0.816 0.367 0.394
0.175 0.291 0.852
0.215 0.626 0.529
0.288 0.794 0.880
0.291 0.451 0.181
0.718 0.851 0.412
0.791 0.682 0.073
0.796 0.015 0.761
```

Values from the calculation:
Space-group type: P1
Total magnetization: 25.00 μB per cell
Formation energy from the elements: -2411 meV per atom
Relative energy among the computed polymorphs: 0.52 eV per formula unit
Total energy after the MP2020 corrections: -0.279 hartree per atom
VASP energy: -6.658 eV per atom

---

(5)
This record from the Materials Project describes a relaxed structure of Fe3Pb4BrO8. The functional is PBE with a Hubbard U.

POSCAR file:
```
Fe3Pb4BrO8
1.0
3.985 0.000 0.000
0.000 3.985 0.000
0.000 0.000 15.683
Fe Pb Br O
3 4 1 8
direct
0.000 0.000 0.000
0.000 0.000 0.256
0.000 0.000 0.744
0.500 0.500 0.116
0.500 0.500 0.378
0.500 0.500 0.622
0.500 0.500 0.884
0.000 0.000 0.500
0.000 0.000 0.135
0.000 0.000 0.865
0.000 0.500 0.000
0.000 0.500 0.289
0.000 0.500 0.711
0.500 0.000 0.000
0.500 0.000 0.289
0.500 0.000 0.711
```

Values from the calculation:
Space-group type: P4/mmm
Total magnetization: 15.01 μB per cell
Formation energy from the elements: -1479 meV per atom
Total energy after the MP2020 corrections: -0.241 hartree per atom
VASP energy: -5.805 eV per atom

---

(6)
This record from the Materials Project describes a relaxed structure of CaTiFeP3O12. The functional is PBE with a Hubbard U.

POSCAR file:
```
CaTiFeP3O12
1.0
4.332 2.501 7.314
-4.332 2.501 7.314
0.000 -5.002 7.314
Ca Ti Fe P O
2 2 2 6 24
direct
0.000 0.000 0.000
0.500 0.500 0.500
0.150 0.150 0.150
0.650 0.650 0.650
0.354 0.354 0.354
0.854 0.854 0.854
0.044 0.753 0.462
0.253 0.544 0.962
0.462 0.044 0.753
0.544 0.962 0.253
0.753 0.462 0.044
0.962 0.253 0.544
0.001 0.209 0.374
0.009 0.799 0.623
0.061 0.924 0.274
0.085 0.729 0.939
0.123 0.299 0.509
0.209 0.374 0.001
0.229 0.585 0.439
0.274 0.061 0.924
0.299 0.509 0.123
0.374 0.001 0.209
0.424 0.561 0.774
0.439 0.229 0.585
0.501 0.874 0.709
0.509 0.123 0.299
0.561 0.774 0.424
0.585 0.439 0.229
0.623 0.009 0.799
0.709 0.501 0.874
0.729 0.939 0.085
0.774 0.424 0.561
0.799 0.623 0.009
0.874 0.709 0.501
0.924 0.274 0.061
0.939 0.085 0.729
```

Values from the calculation:
Space-group type: R3c
Total magnetization: 10.00 μB per cell
Formation energy from the elements: -2896 meV per atom
Total energy after the MP2020 corrections: -0.298 hartree per atom
VASP energy: -7.535 eV per atom

---

(7)
This record from the Materials Project describes a relaxed structure of Zn7Cu8Mo12O48. The functional is PBE with a Hubbard U.

POSCAR file:
```
Zn7Cu8Mo12O48
1.0
5.188 0.000 0.000
-0.027 10.707 0.000
-0.003 -0.056 17.990
Zn Cu Mo O
7 8 12 48
direct
0.000 0.000 0.000
0.020 0.804 0.504
0.155 0.646 0.217
0.497 0.297 0.437
0.517 0.491 0.933
0.655 0.649 0.220
0.863 0.149 0.718
0.004 0.457 0.492
0.014 0.336 0.989
0.042 0.633 0.651
0.487 0.135 0.283
0.502 0.839 0.946
0.513 0.960 0.448
0.533 0.662 0.786
0.987 0.161 0.154
0.026 0.879 0.821
0.028 0.132 0.525
0.039 0.439 0.806
0.472 0.936 0.131
0.487 0.633 0.411
0.491 0.382 0.116
0.532 0.414 0.617
0.535 0.163 0.911
0.546 0.858 0.632
0.972 0.360 0.306
0.987 0.662 0.027
0.990 0.914 0.322
0.091 0.015 0.769
0.091 0.292 0.764
0.096 0.145 0.621
0.172 0.267 0.248
0.174 0.389 0.387
0.177 0.801 0.012
0.184 0.868 0.401
0.185 0.026 0.103
0.197 0.536 0.001
0.200 0.013 0.270
0.208 0.297 0.086
0.213 0.633 0.474
0.308 0.132 0.461
0.316 0.509 0.672
0.319 0.795 0.849
0.323 0.034 0.936
0.334 0.766 0.689
0.336 0.527 0.835
0.338 0.369 0.536
0.348 0.306 0.925
0.349 0.890 0.549
0.407 0.644 0.312
0.407 0.786 0.176
0.409 0.521 0.172
0.633 0.002 0.673
0.633 0.282 0.668
0.639 0.152 0.818
0.672 0.030 0.190
0.674 0.907 0.051
0.676 0.494 0.425
0.683 0.428 0.036
0.684 0.270 0.334
0.697 0.760 0.436
0.699 0.283 0.168
0.708 0.998 0.351
0.713 0.662 0.963
0.804 0.164 0.978
0.814 0.782 0.768
0.815 0.504 0.587
0.823 0.261 0.498
0.831 0.533 0.750
0.833 0.766 0.602
0.834 0.922 0.904
0.845 0.989 0.510
0.848 0.409 0.889
0.906 0.651 0.126
0.908 0.510 0.262
0.909 0.775 0.265
```

Values from the calculation:
Space-group type: P1
Total magnetization: 0.72 μB per cell
Formation energy from the elements: -1688 meV per atom
Total energy after the MP2020 corrections: -0.263 hartree per atom
VASP energy: -6.193 eV per atom

---

(8)
This record from the Materials Project describes a relaxed structure of Li6V3P8O29. The functional is PBE with a Hubbard U.

POSCAR file:
```
Li6V3P8O29
1.0
9.791 0.000 0.000
4.887 8.493 0.000
0.035 0.095 13.994
Li V P O
12 6 16 58
direct
0.000 0.000 0.000
0.001 0.435 0.551
0.329 0.199 0.880
0.424 0.007 0.500
0.426 0.435 0.001
0.563 0.863 0.001
0.597 0.177 0.429
0.701 0.047 0.932
0.750 0.782 0.379
0.758 0.338 0.876
0.890 0.200 0.378
0.992 0.873 0.502
0.094 0.101 0.191
0.096 0.665 0.692
0.226 0.103 0.691
0.226 0.536 0.191
0.656 0.540 0.688
0.662 0.666 0.190
0.325 0.773 0.569
0.327 0.771 0.070
0.346 0.190 0.100
0.352 0.325 0.598
0.433 0.413 0.784
0.434 0.015 0.284
0.574 0.410 0.277
0.576 0.875 0.785
0.748 0.331 0.093
0.750 0.789 0.600
0.883 0.797 0.101
0.884 0.197 0.597
0.972 0.014 0.780
0.975 0.872 0.286
0.992 0.436 0.310
0.993 0.434 0.810
0.001 0.848 0.777
0.034 0.212 0.611
0.043 0.645 0.109
0.126 0.020 0.769
0.132 0.724 0.270
0.139 0.429 0.263
0.150 0.289 0.771
0.171 0.914 0.113
0.176 0.772 0.610
0.188 0.193 0.113
0.188 0.477 0.607
0.279 0.015 0.272
0.282 0.572 0.769
0.319 0.183 0.599
0.323 0.357 0.098
0.323 0.782 0.963
0.326 0.776 0.463
0.330 0.920 0.610
0.339 0.614 0.107
0.403 0.445 0.274
0.407 0.020 0.779
0.431 0.330 0.876
0.433 0.101 0.011
0.446 0.090 0.374
0.448 0.301 0.697
0.451 0.315 0.516
0.454 0.105 0.192
0.471 0.781 0.112
0.473 0.628 0.617
0.578 0.719 0.775
0.578 0.845 0.278
0.579 0.433 0.781
0.581 0.563 0.270
0.651 0.890 0.875
0.653 0.311 0.180
0.656 0.872 0.511
0.664 0.304 0.359
0.664 0.334 0.002
0.665 0.895 0.692
0.741 0.362 0.598
0.744 0.764 0.099
0.754 0.483 0.110
0.770 0.622 0.613
0.846 0.593 0.272
0.847 0.426 0.768
0.858 0.893 0.199
0.865 0.106 0.688
0.869 0.905 0.020
0.881 0.099 0.870
0.892 0.873 0.377
0.893 0.106 0.508
0.915 0.771 0.597
0.916 0.185 0.097
0.980 0.292 0.272
0.989 0.582 0.761
0.990 0.437 0.418
0.994 0.021 0.281
0.995 0.431 0.916
```

Values from the calculation:
Space-group type: P1
Total magnetization: 6.00 μB per cell
Formation energy from the elements: -2658 meV per atom
Relative energy among the computed polymorphs: 0.22 eV per formula unit
Total energy after the MP2020 corrections: -0.278 hartree per atom
VASP energy: -7.016 eV per atom

---

(9)
This record from the Materials Project describes a relaxed structure of V2Cu2O7. The functional is PBE with a Hubbard U.

POSCAR file:
```
V2Cu2O7
1.0
3.988 -4.039 0.000
3.988 4.039 0.000
-3.447 0.000 9.662
V Cu O
4 4 14
direct
0.002 0.557 0.713
0.443 0.998 0.787
0.557 0.002 0.213
0.998 0.443 0.287
0.233 0.376 0.013
0.376 0.233 0.513
0.624 0.767 0.487
0.767 0.624 0.987
0.010 0.512 0.127
0.138 0.862 0.750
0.179 0.362 0.635
0.281 0.457 0.397
0.362 0.179 0.135
0.457 0.281 0.897
0.488 0.990 0.373
0.512 0.010 0.627
0.543 0.719 0.103
0.638 0.821 0.865
0.719 0.543 0.603
0.821 0.638 0.365
0.862 0.138 0.250
0.990 0.488 0.873
```

Values from the calculation:
Space-group type: C2/c
Formation energy from the elements: -1810 meV per atom
Relative energy among the computed polymorphs: 0.00 eV per formula unit
Total energy after the MP2020 corrections: -0.270 hartree per atom
VASP energy: -6.610 eV per atom